[1]
CoSeO4: relaxed, meta-GGA r2SCAN.

The structure in POSCAR format:
```
CoSeO4
1.0
4.8359 0.0001 0.0003
0.0001 6.5692 0.0005
0.0003 -0.0004 8.9049
Co Se O
4 4 16
Direct
0.5000 0.0000 0.5000
0.0000 0.0000 0.0000
0.0000 0.5000 0.0000
0.5000 0.5000 0.5000
0.9660 0.7500 0.3172
0.4659 0.2500 0.1827
0.5340 0.7500 0.8173
0.0340 0.2500 0.6828
0.7920 0.2500 0.1240
0.7079 0.2500 0.6240
0.2921 0.7500 0.3760
0.2080 0.7500 0.8760
0.5781 0.7500 0.6273
0.4219 0.2500 0.3727
0.9220 0.7500 0.1273
0.0780 0.2500 0.8727
0.8175 0.9635 0.3741
0.1825 0.4636 0.6259
0.1825 0.0365 0.6259
0.6825 0.9636 0.8742
0.8175 0.5364 0.3741
0.6825 0.5365 0.8742
0.3175 0.4635 0.1258
0.3175 0.0364 0.1258
```

## Properties
As for the size of the total moment: 1.0 μB per formula unit. For the energy relative to the elements, the calculation gives -0.788 eV/atom.

=====

[2]
TmGe: relaxed, meta-GGA r2SCAN.

The structure in POSCAR format:
```
TmGe
1.0
-2.4686 0.5937 2.9641
-2.3602 -3.1893 -1.3269
3.9771 -1.7207 3.6568
Tm Ge
2 2
Direct
0.2500 0.1382 0.2765
0.7500 0.8618 0.7235
0.2500 0.4130 0.8259
0.7500 0.5870 0.1741
```

## Properties
As for the size of the total moment: 0.0 μB per formula unit. For the energy relative to the elements, the calculation gives -0.943 eV/atom.

=====

Q: Look up the energy relative to the elements of the second one.
A: -0.943 eV/atom

=====

Q: Which formula does entry 1 have?
A: CoSeO4

=====

Q: Among the records above, which one has the highest energy relative to the elements?
A: CoSeO4